# Bi2B3HO8, relaxed, DFT GGA-PBE
# Size of the total moment: 0.000 μB/f.u.
# Volume: 12.34 A^3/atom
# E_form: -2282 meV/atom
# Calculated total energy: -6.95 eV per atom
data_Bi2B3HO8
_chemical_formula_sum 'Bi16 B24 H8 O64'
_cell_length_a 6.1060
_cell_length_b 11.5549
_cell_length_c 19.5919
_cell_angle_alpha 90.00
_cell_angle_beta 90.00
_cell_angle_gamma 90.00
_symmetry_space_group_name_H-M 'P b c a'
_symmetry_Int_Tables_number 61
loop_
_symmetry_equiv_pos_as_xyz
'x,y,z'
'-x,-y,-z'
'-x+1/2,-y,z+1/2'
'x+1/2,y,-z+1/2'
'x+1/2,-y+1/2,-z'
'-x+1/2,y+1/2,z'
'-x,y+1/2,-z+1/2'
'x,-y+1/2,z+1/2'
loop_
_atom_site_label
_atom_site_type_symbol
_atom_site_fract_x
_atom_site_fract_y
_atom_site_fract_z
Bi1 Bi 0.2010 0.0949 0.1941
Bi2 Bi 0.2090 0.1536 0.8217
B1 B 0.0445 0.2048 0.0457
B2 B 0.1433 0.6513 0.5627
B3 B 0.2317 0.0774 0.4486
H1 H 0.0373 0.0166 0.5624
O1 O 0.0230 0.2113 0.2678
O2 O 0.0374 0.2061 0.9763
O3 O 0.0666 0.5917 0.6226
O4 O 0.0816 0.0195 0.4087
O5 O 0.0853 0.0154 0.7574
O6 O 0.1133 0.6449 0.4151
O7 O 0.1970 0.2415 0.5851
O8 O 0.2356 0.0668 0.5182